#i
The following is a GGA+U calculation of a relaxed Li2FeCo3O8 crystal, from the Materials Project.

The structure in POSCAR format:
```
Li2FeCo3O8
1.0
5.735 0.000 0.000
-2.862 4.975 0.000
-0.013 -3.302 9.563
Li Fe Co O
4 2 6 16
Cartesian
-0.014 -0.020 1.748
-0.015 3.342 3.032
2.875 -1.669 6.531
2.874 1.694 7.815
-0.032 0.013 7.169
2.892 1.660 2.394
-0.006 -1.651 4.782
-1.431 2.488 0.000
-1.437 0.837 4.782
2.867 0.000 0.000
1.436 2.488 0.000
1.430 0.837 4.782
-1.581 2.450 3.734
-0.005 0.009 3.785
-1.300 0.797 8.516
0.022 -1.483 8.507
1.304 -0.746 5.803
0.028 1.509 5.839
0.000 3.316 0.996
1.556 0.902 1.022
1.304 0.771 8.541
2.860 -1.642 8.567
2.832 0.165 3.724
1.556 2.419 3.761
2.838 3.157 1.056
4.160 0.877 1.047
2.865 1.665 5.778
4.441 -0.777 5.829
```

#ii
The following is a GGA+U calculation of a relaxed Li2FeCo3O8 crystal, from the Materials Project.

The structure in POSCAR format:
```
Li2FeCo3O8
1.0
5.831 0.000 0.000
2.902 5.115 0.000
2.904 1.619 9.678
Li Fe Co O
4 2 6 16
Cartesian
1.460 0.866 3.059
4.361 2.585 1.790
7.277 4.149 7.888
10.177 5.868 6.619
4.387 2.429 7.234
7.250 4.305 2.444
0.000 0.000 0.000
1.451 2.558 0.000
2.903 3.367 4.839
2.916 0.000 0.000
4.368 0.810 4.839
5.819 3.367 4.839
2.767 3.566 1.094
1.525 0.836 1.034
4.372 4.019 5.965
3.081 1.642 5.948
7.271 6.045 8.682
5.716 3.131 8.561
4.355 2.448 3.823
5.973 5.101 3.752
5.664 1.633 5.926
7.282 4.286 5.855
5.921 3.603 1.118
4.367 0.689 0.996
8.557 5.092 3.730
7.265 2.716 3.713
10.112 5.898 8.644
8.870 3.168 8.584
```

Verdict on stability: #ii comes out at the bottom.

#i
The following is a GGA+U calculation of a relaxed Ca2Mn2O5 crystal, from the Materials Project.

The structure in POSCAR format:
```
Ca2Mn2O5
1.0
5.554 -5.559 0.000
5.554 5.559 0.000
-0.439 0.000 7.653
Ca Mn O
8 8 20
Cartesian
0.000 0.000 0.000
2.894 2.894 0.051
2.758 2.921 3.468
5.659 0.000 0.191
2.894 -2.894 0.051
5.623 0.000 3.780
2.758 -2.921 3.468
10.734 0.000 3.342
2.254 0.000 5.738
2.654 0.000 2.157
5.417 2.730 1.866
5.310 2.846 5.808
5.417 -2.730 1.866
8.217 0.000 1.856
8.040 0.000 5.706
5.310 -2.846 5.808
1.237 1.372 6.454
5.147 2.884 3.876
3.923 1.419 1.869
6.779 4.197 2.050
4.770 2.277 7.539
1.237 -1.372 6.454
3.329 0.000 4.251
3.923 -1.419 1.869
6.587 1.321 5.805
6.885 1.362 1.851
4.770 -2.277 7.539
6.587 -1.321 5.805
5.147 -2.884 3.876
9.360 1.386 6.078
6.885 -1.362 1.851
9.586 1.323 1.640
8.317 0.000 3.793
9.586 -1.323 1.640
6.779 -4.197 2.050
9.360 -1.386 6.078
```

#ii
The following is a GGA+U calculation of a relaxed Ca2Mn2O5 crystal, from the Materials Project.

The structure in POSCAR format:
```
Ca2Mn2O5
1.0
5.608 0.000 0.000
0.010 7.648 0.000
0.344 0.071 11.018
Ca Mn O
8 8 20
Cartesian
0.000 0.000 0.000
0.404 3.565 10.583
2.900 3.693 8.078
2.799 3.675 1.962
2.887 7.543 2.224
3.155 0.233 7.909
5.374 3.772 4.601
5.452 7.519 4.859
0.361 1.867 7.904
2.602 1.671 5.003
2.804 5.586 4.921
3.143 1.789 10.623
3.192 5.732 10.636
5.280 5.600 7.616
5.555 1.835 2.354
5.615 5.573 2.239
0.581 3.883 8.198
0.442 3.713 2.286
0.917 1.735 4.055
1.009 5.685 4.123
1.621 1.392 9.487
1.604 1.554 1.145
1.646 5.933 1.164
1.941 1.986 6.742
2.746 3.796 10.555
3.189 7.523 5.354
3.564 5.785 8.771
3.637 7.605 10.796
3.815 2.163 3.635
4.019 4.687 6.190
3.972 5.284 3.299
4.317 1.989 8.922
4.370 2.064 0.789
4.657 5.370 0.560
5.223 7.533 2.378
5.536 7.649 7.272
```

#iii
The following is a GGA+U calculation of a relaxed Ca2Mn2O5 crystal, from the Materials Project.

The structure in POSCAR format:
```
Ca2Mn2O5
1.0
-7.558 2.793 2.728
7.558 -2.793 2.728
7.558 2.793 -2.728
Ca Mn O
4 4 10
Cartesian
1.622 0.116 0.000
5.935 0.116 0.000
1.622 2.677 2.728
5.935 2.677 2.728
3.779 -0.333 2.922
0.000 0.000 2.685
7.558 0.000 2.685
3.779 3.126 0.194
11.337 0.572 -0.496
1.983 2.469 -0.116
5.575 2.469 -0.116
-0.203 1.413 1.333
7.761 1.413 1.333
1.983 0.324 2.613
5.575 0.324 2.613
-3.779 2.221 2.232
0.203 4.173 1.333
-0.203 1.380 4.062
```

Verdict on stability: #i comes out at the bottom.

#i
The following is a GGA+U calculation of a relaxed NiTeO4 crystal, from the Materials Project.

The structure in POSCAR format:
```
NiTeO4
1.0
-3.058 3.080 4.320
3.058 -3.080 4.320
3.058 3.080 -4.320
Ni Te O
2 2 8
Cartesian
-1.529 1.540 2.160
1.529 1.540 2.160
0.000 0.000 0.000
0.000 3.080 0.000
0.000 0.146 1.897
1.340 1.540 0.014
1.718 -1.540 4.334
3.058 0.146 2.422
0.000 2.934 1.897
1.340 4.620 -0.014
1.718 1.540 4.306
3.058 2.934 2.422
```

#ii
The following is a GGA+U calculation of a relaxed NiTeO4 crystal, from the Materials Project.

The structure in POSCAR format:
```
NiTeO4
1.0
1.463 -3.325 -3.050
-8.307 1.781 -5.927
2.352 3.981 -3.211
Ni Te O
4 4 16
Cartesian
-4.168 -0.054 -5.630
0.716 -2.606 -4.191
1.161 1.046 -4.272
-2.261 0.275 -8.760
-0.770 -1.163 -6.477
-3.747 1.717 -11.047
-0.325 2.489 -6.559
-5.654 1.389 -7.916
0.399 -0.767 -5.047
-2.578 2.113 -9.616
1.360 1.712 -6.204
-3.970 0.612 -7.562
0.965 0.377 -2.341
-2.012 3.257 -6.909
1.924 2.862 -3.493
-3.406 1.762 -4.850
-0.637 2.022 -4.641
-5.966 0.921 -5.999
-1.927 0.291 -2.797
-4.904 3.171 -7.367
-1.069 0.707 -7.112
-6.398 -0.393 -8.470
-2.362 -1.016 -5.262
-5.340 1.864 -9.831
```

Verdict on stability: #i comes out at the bottom.

#i
The following is a GGA+U calculation of a relaxed Li6V3P8O29 crystal, from the Materials Project.

The structure in POSCAR format:
```
Li6V3P8O29
1.0
9.768 0.000 0.000
4.853 8.507 0.000
0.056 0.027 13.981
Li V P O
12 6 16 58
Cartesian
0.000 0.000 0.000
10.488 1.231 6.940
2.183 2.025 12.258
3.507 2.046 5.259
7.271 7.595 6.021
7.404 7.384 13.009
7.008 4.864 6.994
4.978 1.207 13.924
5.616 0.033 6.945
8.409 4.833 13.937
10.496 6.886 12.247
9.816 5.708 5.264
5.561 4.030 9.653
4.998 2.925 2.597
9.850 3.995 2.603
12.006 7.727 9.599
10.467 2.931 9.591
13.208 7.664 2.674
2.820 4.858 11.277
2.806 4.863 4.283
0.876 1.113 3.900
5.109 8.460 10.967
2.158 1.866 1.325
5.165 7.009 8.360
3.531 1.861 8.296
5.806 5.831 1.369
7.038 5.058 3.963
4.820 1.126 10.872
8.388 5.068 10.884
10.313 8.448 3.889
10.323 6.963 1.309
9.694 5.808 8.320
7.713 2.081 7.935
7.722 1.989 0.945
0.825 1.381 10.873
2.792 4.761 12.757
3.558 6.089 3.646
2.149 3.557 10.654
2.006 2.053 8.300
4.829 7.013 1.344
1.705 1.121 0.088
5.562 7.816 12.249
1.748 1.095 5.147
5.706 7.819 7.220
1.862 0.955 2.618
5.740 7.641 9.734
4.259 4.898 10.635
3.493 3.570 3.701
4.277 3.188 8.471
5.048 4.486 1.496
3.682 2.083 1.304
5.687 5.568 8.328
6.648 6.021 2.743
3.967 1.121 12.122
3.860 0.925 9.589
3.962 1.116 7.050
6.777 5.896 0.227
6.734 5.771 5.252
4.848 1.356 3.876
6.889 4.851 10.844
6.270 3.730 3.783
5.626 2.417 10.708
7.044 3.378 8.512
6.240 1.928 1.531
9.673 7.698 2.604
8.759 6.016 9.613
8.804 5.825 12.136
9.878 7.703 0.064
8.824 5.807 7.080
9.897 7.700 5.139
10.615 8.395 10.866
8.565 4.827 3.861
6.935 0.838 8.498
8.377 3.317 1.491
7.755 2.099 6.445
7.746 1.996 13.435
9.730 5.541 1.316
10.640 7.038 8.315
11.837 8.508 3.719
9.157 3.740 10.731
11.844 6.963 1.480
10.490 4.508 8.481
9.194 2.005 8.519
8.512 0.771 1.531
11.100 4.953 3.697
11.815 6.106 10.727
9.877 2.437 3.726
13.349 8.463 10.752
11.177 3.204 1.492
13.386 7.038 8.491
12.521 4.859 5.767
14.558 8.429 3.874
```

#ii
The following is a GGA+U calculation of a relaxed Li6V3P8O29 crystal, from the Materials Project.

The structure in POSCAR format:
```
Li6V3P8O29
1.0
9.795 0.000 0.000
-4.896 8.522 0.000
-0.056 -0.044 13.962
Li V P O
12 6 16 58
Cartesian
0.000 0.000 0.000
-2.797 4.882 0.754
-0.671 6.810 12.271
0.086 5.733 5.296
-0.609 8.480 7.018
4.849 1.097 13.934
2.741 4.909 7.040
2.291 7.057 13.006
6.316 1.860 5.352
4.762 6.907 5.348
7.652 1.921 12.248
9.024 1.109 7.029
-3.464 7.702 2.710
-0.689 2.864 9.651
-2.157 7.670 9.661
0.028 3.985 2.601
4.845 2.895 2.640
4.202 4.017 9.721
-2.781 4.835 4.349
-2.807 4.825 11.365
2.095 1.987 0.948
2.092 1.995 7.971
0.081 5.689 8.334
-0.558 6.922 1.373
-0.577 8.439 3.949
1.391 5.031 10.910
5.004 1.094 10.934
2.813 4.993 3.981
6.259 1.887 8.378
4.053 5.812 1.394
7.674 1.867 1.374
4.775 6.925 8.400
4.725 8.423 10.958
8.984 1.165 3.964
-2.776 4.774 5.837
-4.842 8.396 3.961
-2.781 4.792 12.875
-0.760 1.338 10.857
-1.502 3.282 1.553
-3.495 6.830 8.665
-3.551 8.432 10.790
0.031 2.414 3.730
-1.326 4.865 3.745
-1.965 6.052 10.852
1.320 0.756 1.519
0.606 1.934 8.538
-0.777 4.440 8.625
-2.092 6.793 1.566
0.596 3.730 10.827
-2.103 8.510 3.667
2.073 1.930 6.475
0.053 5.530 1.391
-0.802 6.959 8.347
2.077 1.929 13.426
1.388 3.257 1.580
2.881 0.742 8.549
-0.807 8.357 10.902
1.282 4.877 3.938
0.871 5.557 7.061
-0.296 7.662 5.206
-0.174 7.707 0.136
0.052 7.691 2.670
1.036 5.945 12.048
1.113 5.871 9.544
2.765 3.307 8.503
3.581 1.983 1.538
3.466 3.625 3.708
4.200 2.369 10.775
2.911 4.762 10.865
4.939 1.319 3.963
5.762 1.221 7.118
5.957 0.916 9.639
5.865 1.049 12.182
3.158 5.911 0.227
3.309 5.612 5.260
3.211 5.973 2.760
6.140 2.005 1.340
4.133 5.529 8.378
5.557 3.223 8.646
4.927 4.523 1.508
6.276 3.562 3.719
5.566 4.928 10.758
7.995 0.981 2.685
4.109 7.670 9.660
4.204 7.787 12.216
8.184 1.156 0.146
8.152 1.236 5.220
4.490 7.703 7.139
7.793 2.040 8.355
5.045 7.028 1.435
7.634 3.491 10.827
6.213 6.095 3.828
```

Verdict on stability: #i comes out at the bottom.